No. 1
# TaNi6Mo (PBE-GGA, relaxed)
data_TaNi6Mo
_cell_length_a 4.258
_cell_length_b 5.093
_cell_length_c 4.517
_cell_angle_alpha 90.00
_cell_angle_beta 90.00
_cell_angle_gamma 90.00
_space_group_name_H-M_alt 'P m m 2'
_space_group_IT_number 25
loop_
_space_group_symop_operation_xyz
'x,y,z'
'-x,-y,z'
'-x,y,z'
'x,-y,z'
loop_
_atom_site_label
_atom_site_fract_x
_atom_site_fract_y
_atom_site_fract_z
Ta1 0.000 0.000 0.000
Ni1 0.000 0.255 0.507
Ni2 0.000 0.500 0.011
Ni3 0.500 0.000 0.669
Ni4 0.500 0.254 0.189
Mo1 0.500 0.500 0.694
# Total energy = -7.403 eV per atom
# Formation energy from the elements = -0.230 eV/atom

=====

No. 2
# Zr4NiMo (PBE-GGA, relaxed)
data_Zr4NiMo
_cell_length_a 12.466
_cell_length_b 12.466
_cell_length_c 12.466
_cell_angle_alpha 90.00
_cell_angle_beta 90.00
_cell_angle_gamma 90.00
_space_group_name_H-M_alt 'F -4 3 m'
_space_group_IT_number 216
_space_group_name_Hall 'F -4 2 3'
loop_
_atom_site_label
_atom_site_fract_x
_atom_site_fract_y
_atom_site_fract_z
Zr1 0.000 0.000 0.185
Zr2 0.049 0.250 0.750
Zr3 0.103 0.103 0.397
Ni1 0.108 0.108 0.608
Mo1 0.167 0.167 0.167
# Total energy = -8.661 eV per atom
# Formation energy from the elements = -0.192 eV/atom
# Total magnetic moment = 0.1 μB per cell